# 1
The following is a PBE calculation of TbH2 after structural relaxation, from Materials Project.

Output
The total energy comes out at -4.4882 eV per atom. The symmetry is Fm-3m. For the volume, the calculation gives 36 Å³/f.u. The value obtained for the calculated density is 7.4 Mg/m³.

Lattice parameters (Å, degrees): 3.709 3.709 3.709 60.00 60.00 60.00
Positions (direct):
Tb 0.000 0.000 0.000
H 0.250 0.250 0.250
H 0.750 0.750 0.750

---

# 2
The following is a PBE calculation of Tc3H after structural relaxation, from Materials Project.

Output
The total energy comes out at -7.9043 eV per atom. The symmetry is Fm-3m. For the volume, the calculation gives 52 Å³/f.u. The value obtained for the calculated density is 9.5 Mg/m³.

Lattice parameters (Å, degrees): 4.180 4.180 4.180 60.00 60.00 60.00
Positions (direct):
Tc 0.000 0.000 0.000
Tc 0.250 0.250 0.250
Tc 0.750 0.750 0.750
H 0.500 0.500 0.500

---

# 3
The following is a PBE calculation of Th4H15 after structural relaxation, from Materials Project.

Output
The total energy comes out at -4.7008 eV per atom. The symmetry is I-43d. For the volume, the calculation gives 190 Å³/f.u. The value obtained for the calculated density is 8.2 Mg/m³.

Lattice parameters (Å, degrees): 7.903 7.903 7.903 109.47 109.47 109.47
Positions (direct):
Th 0.000 0.084 0.500
Th 0.000 0.584 0.500
Th 0.084 0.500 0.000
Th 0.416 0.416 0.416
Th 0.500 0.000 0.084
Th 0.500 0.000 0.584
Th 0.584 0.500 0.000
Th 0.916 0.916 0.916
H 0.030 0.904 0.683
H 0.096 0.279 0.126
H 0.125 0.750 0.875
H 0.126 0.096 0.279
H 0.153 0.874 0.470
H 0.183 0.404 0.530
H 0.221 0.317 0.847
H 0.250 0.625 0.375
H 0.279 0.126 0.096
H 0.317 0.847 0.221
H 0.347 0.817 0.721
H 0.374 0.653 0.970
H 0.375 0.250 0.625
H 0.404 0.530 0.183
H 0.470 0.153 0.874
H 0.530 0.183 0.404
H 0.596 0.626 0.779
H 0.625 0.375 0.250
H 0.626 0.779 0.596
H 0.653 0.970 0.374
H 0.683 0.030 0.904
H 0.721 0.347 0.817
H 0.750 0.875 0.125
H 0.779 0.596 0.626
H 0.817 0.721 0.347
H 0.847 0.221 0.317
H 0.874 0.470 0.153
H 0.875 0.125 0.750
H 0.904 0.683 0.030
H 0.970 0.374 0.653

---

# 4
The following is a PBE calculation of ThH3 after structural relaxation, from Materials Project.

Output
The total energy comes out at -4.8152 eV per atom. The symmetry is I4/mmm. For the volume, the calculation gives 41 Å³/f.u. The value obtained for the calculated density is 9.5 Mg/m³.

Lattice parameters (Å, degrees): 4.128 4.128 4.128 129.43 129.43 74.32
Positions (direct):
Th 0.000 0.000 0.000
H 0.250 0.750 0.500
H 0.500 0.500 0.000
H 0.750 0.250 0.500

---

# 5
The following is a PBE calculation of ThH2 after structural relaxation, from Materials Project.

Output
The total energy comes out at -5.2001 eV per atom. The symmetry is Fm-3m. For the volume, the calculation gives 41 Å³/f.u. The value obtained for the calculated density is 9.4 Mg/m³.

Lattice parameters (Å, degrees): 3.881 3.881 3.881 60.00 60.00 60.00
Positions (direct):
Th 0.000 0.000 0.000
H 0.250 0.250 0.250
H 0.750 0.750 0.750

---

# 6
The following is a PBE calculation of ThH2 after structural relaxation, from Materials Project.

Output
The total energy comes out at -5.2096 eV per atom. The symmetry is I4/mmm. For the volume, the calculation gives 41 Å³/f.u. The value obtained for the calculated density is 9.5 Mg/m³.

Lattice parameters (Å, degrees): 3.794 3.794 3.794 115.49 115.49 98.00
Positions (direct):
Th 0.000 0.000 0.000
H 0.250 0.750 0.500
H 0.750 0.250 0.500

---

# 7
The following is a PBE calculation of Ti2H after structural relaxation, from Materials Project.

Output
The total energy comes out at -6.5912 eV per atom. The symmetry is Pn-3m. For the volume, the calculation gives 38 Å³/f.u. The value obtained for the calculated density is 4.2 Mg/m³.

Lattice parameters (Å, degrees): 4.237 4.237 4.237 90.00 90.00 90.00
Positions (direct):
Ti 0.000 0.000 0.000
Ti 0.000 0.500 0.500
Ti 0.500 0.000 0.500
Ti 0.500 0.500 0.000
H 0.250 0.250 0.250
H 0.750 0.750 0.750

---

# 8
The following is a PBE calculation of Ti4H7 after structural relaxation, from Materials Project.

Output
The total energy comes out at -5.4891 eV per atom. The symmetry is P-43m. For the volume, the calculation gives 86 Å³/f.u. The value obtained for the calculated density is 3.9 Mg/m³.

Lattice parameters (Å, degrees): 4.406 4.406 4.406 90.00 90.00 90.00
Positions (direct):
Ti 0.246 0.246 0.754
Ti 0.246 0.754 0.246
Ti 0.754 0.246 0.246
Ti 0.754 0.754 0.754
H 0.000 0.000 0.500
H 0.000 0.500 0.000
H 0.000 0.500 0.500
H 0.500 0.000 0.000
H 0.500 0.000 0.500
H 0.500 0.500 0.000
H 0.500 0.500 0.500

---

# 9
The following is a PBE calculation of U2TiH3 after structural relaxation, from Materials Project.

Output
The total energy comes out at -6.7462 eV per atom. The symmetry is P6/mmm. For the volume, the calculation gives 72 Å³/f.u. The value obtained for the calculated density is 12.2 Mg/m³.

Lattice parameters (Å, degrees): 4.732 4.732 3.690 90.00 90.00 120.00
Positions (direct):
U 0.333 0.667 0.000
U 0.667 0.333 0.000
Ti 0.000 0.000 0.500
H 0.000 0.500 0.500
H 0.500 0.000 0.500
H 0.500 0.500 0.500

---

# 10
The following is a PBE calculation of TiVH4 after structural relaxation, from Materials Project.

Output
The total energy comes out at -5.4252 eV per atom. The symmetry is R-3m. For the volume, the calculation gives 40 Å³/f.u. The value obtained for the calculated density is 4.2 Mg/m³.

Lattice parameters (Å, degrees): 5.293 5.293 5.293 33.56 33.56 33.56
Positions (direct):
Ti 0.000 0.000 0.000
V 0.500 0.500 0.500
H 0.128 0.128 0.128
H 0.378 0.378 0.378
H 0.622 0.622 0.622
H 0.872 0.872 0.872

---

# 11
The following is a PBE calculation of ZrTi2H4 after structural relaxation, from Materials Project.

Output
The total energy comes out at -5.8867 eV per atom. The symmetry is Fd-3m. For the volume, the calculation gives 68 Å³/f.u. The value obtained for the calculated density is 4.7 Mg/m³.

Lattice parameters (Å, degrees): 5.765 5.765 5.765 60.00 60.00 60.00
Positions (direct):
Zr 0.125 0.125 0.125
Zr 0.875 0.875 0.875
Ti 0.000 0.500 0.500
Ti 0.500 0.000 0.500
Ti 0.500 0.500 0.000
Ti 0.500 0.500 0.500
H 0.269 0.269 0.269
H 0.269 0.269 0.692
H 0.269 0.692 0.269
H 0.308 0.731 0.731
H 0.692 0.269 0.269
H 0.731 0.308 0.731
H 0.731 0.731 0.308
H 0.731 0.731 0.731

---

# 12
The following is a PBE calculation of TmH2 after structural relaxation, from Materials Project.

Output
The total energy comes out at -4.4385 eV per atom. The symmetry is Fm-3m. For the volume, the calculation gives 33 Å³/f.u. The value obtained for the calculated density is 8.6 Mg/m³.

Lattice parameters (Å, degrees): 3.596 3.596 3.596 60.00 60.00 60.00
Positions (direct):
Tm 0.000 0.000 0.000
H 0.250 0.250 0.250
H 0.750 0.750 0.750

---

Look up the calculated density of the second one. 9.5 Mg/m³

---

Repeat the seventh record exactly.
The following is a PBE calculation of Ti2H after structural relaxation, from Materials Project.

Output
The total energy comes out at -6.5912 eV per atom. The symmetry is Pn-3m. For the volume, the calculation gives 38 Å³/f.u. The value obtained for the calculated density is 4.2 Mg/m³.

Lattice parameters (Å, degrees): 4.237 4.237 4.237 90.00 90.00 90.00
Positions (direct):
Ti 0.000 0.000 0.000
Ti 0.000 0.500 0.500
Ti 0.500 0.000 0.500
Ti 0.500 0.500 0.000
H 0.250 0.250 0.250
H 0.750 0.750 0.750